1.
Below is an optimized crystal structure of Ho2FeAs2O, with properties calculated at the PBE+U level.

Values from the calculation:
- symmetry = No. 123
- E_form (eV per atom) = -0.191
- MP2020-corrected energy (eV per cell) = -33.05

Cell: 3.2128 3.2128 14.9062 Å, 90.00 90.00 90.00°
With the nearest neighbours (Å) after each atom.
Atoms (fractional coordinates):
Ho: 0.5000 0.5000 0.6343  1 O 2.00
Ho: 0.5000 0.5000 0.3657  1 O 2.00
Fe: 0.5000 0.5000 0.0000  2 As 2.47
As: 0.5000 0.5000 0.1657  1 Fe 2.47
As: 0.5000 0.5000 0.8343  1 Fe 2.47
O: 0.5000 0.5000 0.5000  2 Ho 2.00



2.
Below is an optimized crystal structure of K2Fe2As2O9, with properties calculated at the PBE+U level.

Values from the calculation:
- symmetry = No. 62
- E_form (eV per atom) = -1.881
- MP2020-corrected energy (eV per cell) = -404.89

Cell: 5.8433 8.6722 18.2607 Å, 90.00 90.00 90.00°
With the nearest neighbours (Å) after each atom.
Atoms (fractional coordinates):
K: 0.7500 0.4558 0.7655  6 O 2.82-3.13
K: 0.2500 0.5996 0.6330  1 O 2.56
K: 0.7500 0.9558 0.7345  6 O 2.82-3.13
K: 0.7500 0.4004 0.3670  1 O 2.56
K: 0.2500 0.0442 0.2655  6 O 2.82-3.13
K: 0.2500 0.5442 0.2345  6 O 2.82-3.13
K: 0.2500 0.0996 0.8670  1 O 2.56
K: 0.7500 0.9004 0.1330  1 O 2.56
Fe: 0.2500 0.2150 0.0659  4 O 1.95-2.02
Fe: 0.7500 0.2850 0.5659  4 O 1.95-2.02
Fe: 0.2500 0.7150 0.4341  4 O 1.95-2.02
Fe: 0.5000 0.0000 0.5000  6 O 1.96-2.06
Fe: 0.7500 0.7850 0.9341  4 O 1.95-2.02
Fe: 0.0000 0.5000 0.0000  6 O 1.96-2.06
Fe: 0.5000 0.5000 0.0000  6 O 1.96-2.06
Fe: 0.0000 0.0000 0.5000  6 O 1.96-2.06
As: 0.2500 0.3234 0.4415  4 O 1.69-1.75
As: 0.2500 0.1822 0.6477  4 O 1.67-1.77
As: 0.7500 0.3178 0.1477  4 O 1.67-1.77
As: 0.7500 0.6766 0.5585  4 O 1.69-1.75
As: 0.7500 0.8178 0.3523  4 O 1.67-1.77
As: 0.2500 0.6822 0.8523  4 O 1.67-1.77
As: 0.7500 0.1766 0.9415  4 O 1.69-1.75
As: 0.2500 0.8234 0.0585  4 O 1.69-1.75
O: 0.7500 0.9579 0.4227  1 As 1.77
O: 0.4901 0.8009 0.8617  1 As 1.75
O: 0.0045 0.2324 0.4760  1 As 1.75
O: 0.4955 0.2324 0.4760  1 As 1.75
O: 0.7500 0.9144 0.2729  1 As 1.67
O: 0.2500 0.5080 0.4751  1 As 1.71
O: 0.5045 0.2676 0.9760  1 As 1.75
O: 0.2500 0.9418 0.4340  3 Fe 1.96-1.97
O: 0.2500 0.4418 0.0660  3 Fe 1.96-1.97
O: 0.2500 0.0421 0.5773  1 As 1.77
O: 0.2500 0.3180 0.3492  1 As 1.69
O: 0.9901 0.1991 0.1383  1 As 1.75
O: 0.2500 0.5856 0.7729  1 As 1.67
O: 0.4955 0.7324 0.0240  1 As 1.75
O: 0.2500 0.5421 0.9227  1 As 1.77
O: 0.0099 0.8009 0.8617  1 As 1.75
O: 0.7500 0.4579 0.0773  1 As 1.77
O: 0.7500 0.5582 0.9340  3 Fe 1.96-1.97
O: 0.5099 0.1991 0.1383  1 As 1.75
O: 0.5045 0.7676 0.5240  1 As 1.75
O: 0.7500 0.1820 0.8492  1 As 1.69
O: 0.7500 0.9920 0.9751  1 As 1.71
O: 0.0099 0.3009 0.6383  1 As 1.75
O: 0.2500 0.0856 0.7271  1 As 1.67
O: 0.9955 0.2676 0.9760  1 As 1.75
O: 0.7500 0.4144 0.2271  1 As 1.67
O: 0.0045 0.7324 0.0240  1 As 1.75
O: 0.9955 0.7676 0.5240  1 As 1.75
O: 0.2500 0.0080 0.0249  1 As 1.71
O: 0.9901 0.6991 0.3617  1 As 1.75
O: 0.2500 0.8180 0.1508  1 As 1.69
O: 0.7500 0.0582 0.5660  3 Fe 1.96-1.97
O: 0.4901 0.3009 0.6383  1 As 1.75
O: 0.7500 0.4920 0.5249  1 As 1.71
O: 0.7500 0.6820 0.6508  1 As 1.69
O: 0.5099 0.6991 0.3617  1 As 1.75



3.
Below is an optimized crystal structure of KFeAs2O7, with properties calculated at the PBE+U level.

Values from the calculation:
- symmetry = No. 2
- E_form (eV per atom) = -1.834
- MP2020-corrected energy (eV per cell) = -294.83

Cell: 7.8303 8.5827 10.3090 Å, 89.81 89.60 73.36°
With the nearest neighbours (Å) after each atom.
Atoms (fractional coordinates):
K: 0.1640 0.4604 0.6762  6 O 2.81-3.14
K: 0.8242 0.0614 0.1747  6 O 2.76-3.05
K: 0.8360 0.5396 0.3238  6 O 2.81-3.14
K: 0.1758 0.9386 0.8253  6 O 2.76-3.05
Fe: 0.7659 0.2645 0.5954  6 O 1.96-2.13
Fe: 0.2341 0.7355 0.4046  6 O 1.96-2.13
Fe: 0.7648 0.7703 0.9009  6 O 2.03-2.06
Fe: 0.2352 0.2297 0.0991  6 O 2.03-2.06
As: 0.1245 0.6647 0.1029  4 O 1.69-1.79
As: 0.5585 0.6797 0.6451  4 O 1.70-1.80
As: 0.4460 0.7970 0.1303  4 O 1.70-1.81
As: 0.8755 0.3353 0.8971  4 O 1.69-1.79
As: 0.8476 0.8489 0.5796  4 O 1.69-1.80
As: 0.4415 0.3203 0.3549  4 O 1.70-1.80
As: 0.5540 0.2030 0.8697  4 O 1.70-1.81
As: 0.1524 0.1511 0.4204  4 O 1.69-1.80
O: 0.3266 0.9820 0.0735  1 As 1.70
O: 0.1080 0.4738 0.1211  1 As 1.69
O: 0.4461 0.7571 0.2931  1 As 1.71
O: 0.2816 0.4997 0.3742  1 As 1.70
O: 0.8920 0.5262 0.8789  1 As 1.69
O: 0.6625 0.7380 0.0780  1 As 1.71
O: 0.0803 0.7782 0.2424  1 As 1.72
O: 0.4536 0.2414 0.2013  1 As 1.72
O: 0.1843 0.9581 0.4717  1 As 1.69
O: 0.7184 0.5003 0.6258  1 As 1.70
O: 0.3630 0.1851 0.4574  2 As 1.80
O: 0.6370 0.8149 0.5426  2 As 1.80
O: 0.9912 0.7831 0.9885  1 As 1.71
O: 0.1018 0.1921 0.2611  1 As 1.70
O: 0.8157 0.0419 0.5283  1 As 1.69
O: 0.3542 0.6811 0.5909  1 As 1.70
O: 0.6535 0.3440 0.9487  2 As 1.79-1.81
O: 0.3375 0.2620 0.9220  1 As 1.71
O: 0.9197 0.2218 0.7576  1 As 1.72
O: 0.6458 0.3189 0.4091  1 As 1.70
O: 0.3465 0.6560 0.0513  2 As 1.79-1.81
O: 0.5539 0.2429 0.7069  1 As 1.71
O: 0.0021 0.7106 0.4896  1 As 1.70
O: 0.0088 0.2169 0.0115  1 As 1.71
O: 0.8982 0.8079 0.7389  1 As 1.70
O: 0.5464 0.7586 0.7987  1 As 1.72
O: 0.6734 0.0180 0.9265  1 As 1.70
O: 0.9979 0.2894 0.5104  1 As 1.70



4.
Below is an optimized crystal structure of La2FeAs2RuO2, with properties calculated at the PBE+U level.

Values from the calculation:
- symmetry = No. 115
- E_form (eV per atom) = -1.814
- MP2020-corrected energy (eV per cell) = -61.35

Cell: 4.0500 4.0500 9.0977 Å, 90.00 90.00 90.00°
With the nearest neighbours (Å) after each atom.
Atoms (fractional coordinates):
La: 0.5000 0.0000 0.8639  4 O 2.37
La: 0.0000 0.5000 0.1361  4 O 2.37
Fe: 0.5000 0.5000 0.5000  4 As 2.53
As: 0.5000 0.0000 0.3326  2 Fe 2.53, 2 Ru 2.53
As: 0.0000 0.5000 0.6674  2 Fe 2.53, 2 Ru 2.53
Ru: 0.0000 0.0000 0.5000  4 As 2.53
O: 0.5000 0.5000 0.0000  4 La 2.37
O: 0.0000 0.0000 0.0000  4 La 2.37



> Look up the E_form of the second one.

-1.881 eV per atom